Density functional theory data (PBE+U) for an optimized crystal structure of Li6Mn3CoO10.

Results
SG ... No. 8
Energy of formation ... -46.23 kcal/mol of atoms

Cell: 7.7840 7.7840 8.6128 Å, 73.33 73.33 21.19°
Positions (direct):
O  0.0084  0.0084  0.2259
O  0.3906  0.3906  0.5527
O  0.4067  0.4067  0.0479
O  0.2157  0.2157  0.6501
O  0.9994  0.9994  0.7699
O  0.8015  0.8015  0.8242
O  0.1929  0.1929  0.1488
O  0.5863  0.5863  0.9480
O  0.6082  0.6082  0.4523
O  0.7927  0.7927  0.3758
Mn  0.6005  0.6005  0.1926
Mn  0.2002  0.2002  0.4110
Mn  0.9961  0.9961  0.9842
Li  0.4001  0.4001  0.7952
Li  0.2072  0.2072  0.8864
Li  0.8023  0.8023  0.0767
Li  0.9955  0.9955  0.5307
Li  0.5928  0.5928  0.7092
Li  0.3994  0.3994  0.3042
Co  0.8035  0.8035  0.6141

=====

Density functional theory data (PBE+U) for an optimized crystal structure of Li4MnCo3O8.

Results
SG ... No. 12
Energy of formation ... -40.13 kcal/mol of atoms

Cell: 5.0714 5.0714 10.1580 Å, 80.95 80.95 33.54°
Positions (direct):
Li  0.2476  0.2476  0.8704
Li  0.7524  0.7524  0.1296
Li  0.7533  0.7533  0.6197
Li  0.2467  0.2467  0.3803
O  0.6119  0.6119  0.8237
O  0.3861  0.3861  0.6800
O  0.1126  0.1126  0.0553
O  0.6139  0.6139  0.3200
O  0.8874  0.8874  0.9447
O  0.1114  0.1114  0.5568
O  0.3881  0.3881  0.1763
O  0.8886  0.8886  0.4432
Co  0.9994  0.9994  0.7419
Co  0.5000  0.5000  0.5000
Co  0.0006  0.0006  0.2581
Mn  0.5000  0.5000  0.0000

=====

Density functional theory data (PBE+U) for an optimized crystal structure of Li3MnCoO5.

Results
SG ... No. 1
Energy of formation ... -43.81 kcal/mol of atoms

Cell: 2.9799 5.0996 12.5055 Å, 100.74 88.94 104.50°
Positions (direct):
O  0.1500  0.2999  0.5325
O  0.6770  0.2867  0.0562
O  0.0084  0.0633  0.8495
O  0.4552  0.9068  0.6600
O  0.2366  0.4801  0.2596
O  0.5291  0.1186  0.3464
O  0.7846  0.5425  0.7546
O  0.8669  0.6725  0.4445
O  0.9637  0.9127  0.1482
O  0.3194  0.7113  0.9443
Li  0.2994  0.5996  0.1035
Li  0.0717  0.1855  0.6894
Li  0.8186  0.6164  0.5981
Li  0.9053  0.7988  0.3020
Li  0.7143  0.4144  0.9019
Li  0.4970  0.9890  0.5018
Mn  0.9946  0.9954  0.0018
Mn  0.3926  0.7974  0.7921
Co  0.2088  0.4078  0.4082
Co  0.6069  0.2013  0.2052

=====

Density functional theory data (PBE+U) for an optimized crystal structure of Li4MnCo2O7.

Results
SG ... No. 8
Energy of formation ... -40.23 kcal/mol of atoms

Cell: 2.9890 2.9890 34.5880 Å, 86.62 86.62 57.61°
Positions (direct):
O  0.2177  0.2177  0.6770
O  0.0543  0.0543  0.8904
O  0.8029  0.8029  0.8263
O  0.0665  0.0665  0.3965
O  0.4978  0.4978  0.7501
O  0.3814  0.3814  0.9672
O  0.7809  0.7809  0.3184
O  0.9307  0.9307  0.6015
O  0.6439  0.6439  0.5385
O  0.3610  0.3610  0.4612
O  0.2194  0.2194  0.1755
O  0.6167  0.6167  0.0333
O  0.9241  0.9241  0.1104
O  0.5047  0.5047  0.2531
Co  0.2870  0.2870  0.5707
Co  0.1428  0.1428  0.2858
Co  0.5710  0.5710  0.1433
Co  0.7135  0.7135  0.4289
Li  0.5685  0.5685  0.6437
Li  0.9998  0.9998  0.5004
Li  0.4273  0.4273  0.3574
Li  0.7144  0.7144  0.9291
Li  0.8571  0.8571  0.7135
Li  0.8584  0.8584  0.2144
Li  0.2807  0.2807  0.0741
Li  0.1477  0.1477  0.7814
Mn  0.9973  0.9973  0.0006
Mn  0.4324  0.4324  0.8574

=====

Density functional theory data (PBE+U) for an optimized crystal structure of Li4MnCo2O7.

Results
SG ... No. 2
Energy of formation ... -41.77 kcal/mol of atoms

Cell: 2.9358 8.1213 10.6462 Å, 101.68 94.91 89.03°
Positions (direct):
O  0.9743  0.2441  0.9815
O  0.5798  0.5550  0.1478
O  0.2629  0.8843  0.5776
O  0.5379  0.0290  0.1518
O  0.0257  0.7559  0.0185
O  0.4202  0.4450  0.8522
O  0.1181  0.3114  0.2924
O  0.8819  0.6886  0.7076
O  0.8890  0.1701  0.7286
O  0.1110  0.8299  0.2714
O  0.7371  0.1157  0.4224
O  0.6861  0.5985  0.4374
O  0.4621  0.9710  0.8482
O  0.3139  0.4015  0.5626
Li  0.7181  0.8561  0.4325
Li  0.8662  0.4341  0.7206
Li  0.5769  0.2983  0.1436
Li  0.4231  0.7017  0.8564
Li  0.2819  0.1439  0.5675
Li  0.0000  0.0000  0.0000
Li  0.0000  0.5000  0.0000
Li  0.1338  0.5659  0.2794
Mn  0.5635  0.7781  0.1405
Mn  0.4365  0.2219  0.8595
Co  0.8704  0.9266  0.7159
Co  0.1296  0.0734  0.2841
Co  0.7141  0.3576  0.4282
Co  0.2859  0.6424  0.5718

=====

Density functional theory data (PBE+U) for an optimized crystal structure of Li7Mn2Co3O12.

Results
SG ... No. 2
Energy of formation ... -43.43 kcal/mol of atoms

Cell: 5.0780 6.5082 6.6511 Å, 83.36 82.84 84.25°
Positions (direct):
Li  0.0000  0.5000  0.0000
Li  0.7553  0.2577  0.7541
Li  0.2425  0.0927  0.9213
Li  0.2393  0.4201  0.5877
Li  0.2447  0.7423  0.2459
Li  0.7607  0.5799  0.4123
Li  0.7575  0.9073  0.0787
Co  0.5000  0.0000  0.5000
Co  0.5104  0.3444  0.1616
Co  0.4896  0.6556  0.8384
O  0.8743  0.5647  0.7057
O  0.1257  0.4353  0.2943
O  0.1217  0.1136  0.6078
O  0.6470  0.9399  0.7790
O  0.8704  0.2019  0.0718
O  0.3530  0.0601  0.2210
O  0.6036  0.6163  0.1265
O  0.8783  0.8864  0.3922
O  0.6446  0.2699  0.4505
O  0.1296  0.7981  0.9282
O  0.3964  0.3837  0.8735
O  0.3554  0.7301  0.5495
Mn  0.9971  0.8286  0.6715
Mn  0.0029  0.1714  0.3285

=====

Density functional theory data (PBE+U) for an optimized crystal structure of Li4MnCo2O7.

Results
SG ... No. 12
Energy of formation ... -42.18 kcal/mol of atoms

Cell: 9.9430 9.9430 9.8138 Å, 66.21 66.21 16.73°
Positions (direct):
Li  0.7885  0.7885  0.8472
Li  0.3681  0.3681  0.5586
Li  0.2115  0.2115  0.1528
Li  0.6319  0.6319  0.4414
Li  0.5000  0.5000  0.0000
Li  0.0000  0.0000  0.5000
Li  0.9279  0.9279  0.2943
Li  0.0721  0.0721  0.7057
Co  0.7156  0.7156  0.6386
Co  0.5626  0.5626  0.2384
Co  0.2844  0.2844  0.3614
Co  0.4374  0.4374  0.7616
O  0.1826  0.1826  0.5348
O  0.5307  0.5307  0.6215
O  0.4693  0.4693  0.3785
O  0.9523  0.9523  0.9008
O  0.8174  0.8174  0.4652
O  0.6757  0.6757  0.0217
O  0.3879  0.3879  0.1669
O  0.2394  0.2394  0.7595
O  0.3243  0.3243  0.9783
O  0.7606  0.7606  0.2405
O  0.8936  0.8936  0.6878
O  0.0477  0.0477  0.0992
O  0.1064  0.1064  0.3122
O  0.6121  0.6121  0.8331
Mn  0.8572  0.8572  0.0675
Mn  0.1428  0.1428  0.9325

=====

Density functional theory data (PBE+U) for an optimized crystal structure of Li4Mn3CoO8.

Results
Energy of formation ... -46.71 kcal/mol of atoms

Cell: 5.0945 6.0562 10.0153 Å, 90.00 77.65 90.00°
Positions (direct):
Mn  0.0000  0.5000  0.0000
Mn  0.2502  0.2500  0.7498
Mn  0.7498  0.7500  0.2502
Mn  0.2502  0.7500  0.7498
Mn  0.7498  0.2500  0.2502
Mn  0.5000  0.0000  0.5000
O  0.5994  0.7682  0.6182
O  0.4006  0.7682  0.3818
O  0.6401  0.0000  0.1438
O  0.0999  0.2689  0.1187
O  0.1417  0.5000  0.6432
O  0.6421  0.5000  0.1138
O  0.1418  0.0000  0.6138
O  0.4006  0.2318  0.3818
O  0.8582  0.0000  0.3862
O  0.5994  0.2318  0.6182
O  0.8583  0.5000  0.3568
O  0.0999  0.7311  0.1187
O  0.3599  0.0000  0.8562
O  0.9001  0.2689  0.8813
O  0.3579  0.5000  0.8862
O  0.9001  0.7311  0.8813
Li  0.7444  0.0000  0.7399
Li  0.0000  0.2352  0.5000
Li  0.5000  0.2649  0.0000
Li  0.0000  0.7648  0.5000
Li  0.7557  0.5000  0.7600
Li  0.2443  0.5000  0.2400
Li  0.5000  0.7351  0.0000
Li  0.2556  0.0000  0.2601
Co  0.5000  0.5000  0.5000
Co  0.0000  0.0000  0.0000

=====

Density functional theory data (PBE+U) for an optimized crystal structure of Li3MnCoO5.

Results
SG ... No. 12
Energy of formation ... -44.92 kcal/mol of atoms

Cell: 6.5344 6.5344 9.7848 Å, 78.82 78.82 25.79°
Positions (direct):
O  0.5577  0.5577  0.8351
O  0.2398  0.2398  0.7559
O  0.4423  0.4423  0.1649
O  0.8441  0.8441  0.9612
O  0.6455  0.6455  0.5678
O  0.7602  0.7602  0.2441
O  0.9600  0.9600  0.6564
O  0.1559  0.1559  0.0388
O  0.3545  0.3545  0.4322
O  0.0400  0.0400  0.3436
Li  0.1932  0.1932  0.3987
Li  0.5000  0.5000  0.5000
Li  0.5978  0.5978  0.2084
Li  0.4022  0.4022  0.7916
Li  0.0000  0.0000  0.0000
Li  0.8068  0.8068  0.6013
Co  0.2980  0.2980  0.1016
Co  0.7020  0.7020  0.8984
Mn  0.9053  0.9053  0.3056
Mn  0.0947  0.0947  0.6944

=====

Density functional theory data (PBE+U) for an optimized crystal structure of Li7Mn2Co3O12.

Results
SG ... No. 6
Energy of formation ... -42.82 kcal/mol of atoms

Cell: 2.9141 8.1530 9.7379 Å, 66.59 90.00 90.00°
Positions (direct):
O  0.0000  0.2310  0.0214
O  0.5000  0.3969  0.1826
O  0.5000  0.2606  0.4744
O  0.5000  0.7389  0.4977
O  0.0000  0.4141  0.6589
O  0.0000  0.5593  0.3411
O  0.0000  0.9105  0.6594
O  0.0000  0.7681  0.0061
O  0.5000  0.0744  0.8581
O  0.0000  0.1037  0.3108
O  0.5000  0.9390  0.1516
O  0.5000  0.5848  0.8256
Co  0.0000  0.6813  0.6784
Co  0.5000  0.1680  0.1641
Co  0.5000  0.5074  0.5096
Li  0.5000  0.8294  0.8374
Li  0.0000  0.8308  0.3391
Li  0.5000  0.3410  0.8281
Li  0.5000  0.9890  0.5090
Li  0.0000  0.5253  0.9792
Li  0.0000  0.1477  0.6778
Li  0.5000  0.6714  0.1589
Mn  0.0000  0.9944  0.0001
Mn  0.0000  0.3330  0.3302

=====

Density functional theory data (PBE+U) for an optimized crystal structure of Li7Mn2Co3O12.

Results
SG ... No. 1
Energy of formation ... -42.87 kcal/mol of atoms

Cell: 2.9790 7.6243 9.7582 Å, 91.60 97.37 99.89°
Positions (direct):
Li  0.0851  0.4156  0.7528
Li  0.7423  0.7431  0.7555
Li  0.9095  0.5886  0.2390
Li  0.2622  0.2522  0.2527
Li  0.4274  0.0877  0.7504
Li  0.3496  0.6707  0.0099
Li  0.5644  0.9068  0.2431
Mn  0.9928  0.9937  0.0003
Mn  0.1664  0.8332  0.5004
O  0.1077  0.6290  0.6176
O  0.8357  0.9669  0.6184
O  0.3972  0.8923  0.8903
O  0.6015  0.1217  0.1015
O  0.4985  0.6989  0.3832
O  0.3129  0.4395  0.1132
O  0.8825  0.3692  0.3839
O  0.4514  0.2978  0.6155
O  0.2314  0.0404  0.3861
O  0.0138  0.2096  0.8889
O  0.6994  0.5209  0.8840
O  0.9651  0.8097  0.1183
Co  0.8387  0.1683  0.4994
Co  0.4948  0.4978  0.5004
Co  0.6697  0.3466  0.9953

=====

Density functional theory data (PBE+U) for an optimized crystal structure of Li3MnCoO5.

Results
SG ... No. 2
Energy of formation ... -43.19 kcal/mol of atoms

Cell: 3.0326 7.8001 8.0457 Å, 104.28 90.87 96.19°
Positions (direct):
Mn  0.8038  0.6025  0.8973
Mn  0.1962  0.3975  0.1027
Li  0.1975  0.3981  0.5950
Li  0.8025  0.6019  0.4050
Li  0.0000  0.0000  0.0000
Li  0.0000  0.0000  0.5000
Li  0.4037  0.8069  0.2084
Li  0.5963  0.1931  0.7916
O  0.5818  0.2064  0.0720
O  0.9849  0.0147  0.2539
O  0.1747  0.4034  0.8597
O  0.0151  0.9853  0.7461
O  0.2164  0.3868  0.3395
O  0.7836  0.6132  0.6605
O  0.4182  0.7936  0.9280
O  0.3923  0.7965  0.4728
O  0.8253  0.5966  0.1403
O  0.6077  0.2035  0.5272
Co  0.5899  0.1892  0.3085
Co  0.4101  0.8108  0.6915